# Al6Tc

A relaxed structure of Al6Tc (r²SCAN, the Materials Project database).

Structure (POSCAR):
```
Al6Tc
1.0
5.001 -0.003 0.000
-0.727 4.948 0.000
0.000 0.000 8.977
Al Tc
12 2
direct
0.027 0.390 0.250
0.134 0.134 0.601
0.324 0.676 0.500
0.866 0.866 0.399
0.390 0.027 0.250
0.134 0.134 0.899
0.324 0.676 0.000
0.676 0.324 0.000
0.973 0.610 0.750
0.866 0.866 0.101
0.610 0.973 0.750
0.676 0.324 0.500
0.542 0.542 0.250
0.458 0.458 0.750
```

Calculated values
energy of formation = -0.29 eV/atom

=====

# AlTc2

A relaxed structure of AlTc2 (r²SCAN, the Materials Project database).

Structure (POSCAR):
```
AlTc2
1.0
2.975 0.000 0.000
0.000 2.975 0.000
-1.488 -1.488 4.721
Al Tc
1 2
direct
0.000 0.000 0.000
0.670 0.670 0.340
0.330 0.330 0.660
```

Calculated values
energy of formation = -0.47 eV/atom

=====

# Al3Tc

A relaxed structure of Al3Tc (r²SCAN, the Materials Project database).

Structure (POSCAR):
```
Al3Tc
1.0
-1.907 1.907 3.967
1.907 -1.907 3.967
1.907 1.907 -3.967
Tc Al
1 3
direct
0.000 0.000 0.000
0.500 0.500 0.000
0.250 0.750 0.500
0.750 0.250 0.500
```

Calculated values
energy of formation = -0.35 eV/atom

=====

# Al2Te3

A relaxed structure of Al2Te3 (r²SCAN, the Materials Project database).

Structure (POSCAR):
```
Al2Te3
1.0
-6.771 2.410 -0.935
-4.594 -11.953 2.453
-0.768 3.249 14.392
Te Al
24 16
direct
0.407 0.594 0.389
0.579 0.738 0.636
0.075 0.917 0.139
0.925 0.083 0.861
0.421 0.238 0.864
0.593 0.094 0.111
0.081 0.576 0.131
0.089 0.243 0.109
0.407 0.906 0.889
0.081 0.924 0.631
0.919 0.424 0.869
0.425 0.578 0.867
0.593 0.406 0.611
0.075 0.583 0.639
0.421 0.262 0.364
0.575 0.422 0.133
0.911 0.757 0.891
0.925 0.417 0.361
0.911 0.743 0.391
0.919 0.076 0.369
0.575 0.078 0.633
0.425 0.922 0.367
0.579 0.762 0.136
0.089 0.257 0.609
0.419 0.249 0.192
0.079 0.909 0.803
0.070 0.593 0.820
0.570 0.432 0.314
0.930 0.093 0.680
0.581 0.751 0.808
0.430 0.932 0.186
0.419 0.251 0.692
0.581 0.749 0.308
0.930 0.407 0.180
0.570 0.068 0.814
0.070 0.907 0.320
0.921 0.409 0.697
0.921 0.091 0.197
0.079 0.591 0.303
0.430 0.568 0.686
```

Calculated values
energy of formation = -0.56 eV/atom

=====

# Al2Te3

A relaxed structure of Al2Te3 (r²SCAN, the Materials Project database).

Structure (POSCAR):
```
Al2Te3
1.0
-6.686 2.860 1.359
-5.685 -1.466 -4.502
-5.549 -5.115 2.827
Al Te
4 6
direct
0.809 0.678 0.505
0.178 0.986 0.496
0.678 0.809 0.005
0.986 0.178 0.996
0.299 0.132 0.112
0.623 0.451 0.141
0.782 0.978 0.621
0.978 0.782 0.121
0.451 0.623 0.641
0.132 0.299 0.612
```

Calculated values
energy of formation = -0.54 eV/atom

=====

# Al2ZnTe4

A relaxed structure of Al2ZnTe4 (r²SCAN, the Materials Project database).

Structure (POSCAR):
```
Al2ZnTe4
1.0
5.520 0.000 -2.433
-1.072 5.415 -2.433
-0.069 -0.084 7.322
Te Al Zn
4 2 1
direct
0.109 0.604 0.736
0.868 0.891 0.264
0.396 0.373 0.264
0.627 0.132 0.736
0.500 0.500 0.000
0.250 0.750 0.500
0.000 0.000 0.000
```

Calculated values
energy of formation = -0.58 eV/atom

=====

# Ti3Al

A relaxed structure of Ti3Al (r²SCAN, the Materials Project database).

Structure (POSCAR):
```
Ti3Al
1.0
5.748 0.000 0.000
-2.874 4.978 0.000
0.000 0.000 4.631
Ti Al
6 2
direct
0.830 0.660 0.250
0.660 0.830 0.750
0.170 0.830 0.750
0.340 0.170 0.250
0.830 0.170 0.250
0.170 0.340 0.750
0.333 0.667 0.250
0.667 0.333 0.750
```

Calculated values
energy of formation = -0.30 eV/atom

=====

# TiAl

A relaxed structure of TiAl (r²SCAN, the Materials Project database).

Structure (POSCAR):
```
TiAl
1.0
2.811 0.000 0.000
0.000 2.811 0.000
0.000 0.000 4.066
Al Ti
1 1
direct
0.000 0.000 0.000
0.500 0.500 0.500
```

Calculated values
energy of formation = -0.45 eV/atom

=====

# Ti5Al11

A relaxed structure of Ti5Al11 (r²SCAN, the Materials Project database).

Structure (POSCAR):
```
Ti5Al11
1.0
-0.126 0.027 3.905
3.847 -0.666 0.129
2.801 16.169 -0.022
Al Ti
11 5
direct
0.500 0.000 0.250
0.000 0.500 0.002
0.500 0.000 0.498
0.000 0.500 0.498
0.000 0.000 0.374
0.000 0.500 0.749
0.500 0.500 0.876
0.000 0.000 0.625
0.000 0.500 0.250
0.500 0.000 0.002
0.500 0.000 0.749
0.000 0.000 0.880
0.500 0.500 0.376
0.500 0.500 0.617
0.500 0.500 0.134
0.000 0.000 0.119
```

Calculated values
energy of formation = -0.45 eV/atom

=====

# TiAl2Zn

A relaxed structure of TiAl2Zn (r²SCAN, the Materials Project database).

Structure (POSCAR):
```
TiAl2Zn
1.0
-2.222 3.152 -0.836
-2.545 -1.044 2.829
1.995 2.088 2.566
Al Ti Zn
2 1 1
direct
0.000 0.500 0.500
0.500 0.000 0.500
0.000 0.000 0.000
0.500 0.500 0.000
```

Calculated values
energy of formation = -0.42 eV/atom

=====

# TmAl

A relaxed structure of TmAl (r²SCAN, the Materials Project database).

Structure (POSCAR):
```
TmAl
1.0
5.532 0.000 0.000
0.000 5.751 0.000
0.000 0.000 11.236
Al Tm
8 8
direct
0.000 0.931 0.250
0.000 0.069 0.750
0.500 0.069 0.750
0.250 0.659 0.097
0.250 0.341 0.597
0.750 0.341 0.903
0.750 0.659 0.403
0.500 0.931 0.250
0.750 0.839 0.984
0.750 0.161 0.484
0.250 0.398 0.331
0.750 0.602 0.669
0.750 0.398 0.168
0.250 0.839 0.516
0.250 0.602 0.832
0.250 0.161 0.016
```

Calculated values
energy of formation = -0.47 eV/atom

=====

# TmAlZn

A relaxed structure of TmAlZn (r²SCAN, the Materials Project database).

Structure (POSCAR):
```
TmAlZn
1.0
2.206 -3.821 0.000
2.206 3.821 0.000
0.000 0.000 7.008
Al Zn Tm
2 2 2
direct
0.667 0.333 0.750
0.333 0.667 0.250
0.333 0.667 0.750
0.667 0.333 0.250
0.000 0.000 0.500
0.000 0.000 0.000
```

Calculated values
energy of formation = -0.50 eV/atom

=====

# Tm2AlZn

A relaxed structure of Tm2AlZn (r²SCAN, the Materials Project database).

Structure (POSCAR):
```
Tm2AlZn
1.0
0.015 3.520 3.528
3.508 -0.015 3.528
3.523 3.505 0.000
Tm Zn Al
2 1 1
direct
0.500 0.500 0.500
0.000 0.000 0.000
0.749 0.751 0.750
0.251 0.249 0.250
```

Calculated values
energy of formation = -0.42 eV/atom

=====

# UAl4

A relaxed structure of UAl4 (r²SCAN, the Materials Project database).

Structure (POSCAR):
```
UAl4
1.0
-4.127 0.694 1.154
-1.236 -6.119 -0.742
4.350 1.565 6.448
U Al
2 8
direct
0.113 0.363 0.226
0.887 0.637 0.774
0.113 0.863 0.227
0.698 0.731 0.396
0.500 0.500 0.000
0.500 0.000 0.000
0.698 0.165 0.396
0.887 0.137 0.773
0.302 0.269 0.604
0.302 0.835 0.604
```

Calculated values
energy of formation = -0.21 eV/atom

=====

# UAl20V2

A relaxed structure of UAl20V2 (r²SCAN, the Materials Project database).

Structure (POSCAR):
```
UAl20V2
1.0
0.000 7.177 7.176
7.177 0.000 7.176
7.177 7.177 0.000
Al U V
40 2 4
direct
0.182 0.450 0.919
0.450 0.450 0.919
0.182 0.919 0.450
0.919 0.182 0.450
0.919 0.450 0.182
0.450 0.919 0.182
0.125 0.125 0.125
0.887 0.887 0.613
0.637 0.363 0.637
0.125 0.625 0.125
0.800 0.800 0.331
0.800 0.800 0.068
0.613 0.887 0.887
0.800 0.331 0.068
0.450 0.182 0.450
0.182 0.450 0.450
0.887 0.613 0.613
0.800 0.068 0.800
0.625 0.125 0.125
0.068 0.800 0.800
0.450 0.919 0.450
0.613 0.613 0.887
0.331 0.800 0.068
0.613 0.887 0.613
0.919 0.450 0.450
0.887 0.613 0.887
0.800 0.068 0.331
0.331 0.068 0.800
0.125 0.125 0.625
0.363 0.637 0.637
0.068 0.800 0.331
0.363 0.363 0.637
0.331 0.800 0.800
0.637 0.363 0.363
0.450 0.450 0.182
0.800 0.331 0.800
0.450 0.182 0.919
0.363 0.637 0.363
0.068 0.331 0.800
0.637 0.637 0.363
0.250 0.250 0.250
0.000 0.000 0.000
0.625 0.125 0.625
0.125 0.625 0.625
0.625 0.625 0.125
0.625 0.625 0.625
```

Calculated values
energy of formation = -0.22 eV/atom

=====

# Al41V4

A relaxed structure of Al41V4 (r²SCAN, the Materials Project database).

Structure (POSCAR):
```
Al41V4
1.0
4.434 1.339 9.013
-4.488 -3.428 8.414
3.905 -7.931 4.954
Al V
41 4
direct
0.110 0.110 0.390
0.390 0.390 0.110
0.198 0.932 0.198
0.198 0.671 0.932
0.874 0.874 0.379
0.360 0.360 0.640
0.640 0.360 0.360
0.818 0.079 0.552
0.671 0.198 0.932
0.818 0.552 0.552
0.818 0.552 0.079
0.932 0.198 0.198
0.079 0.818 0.552
0.198 0.932 0.671
0.671 0.198 0.198
0.640 0.360 0.640
0.110 0.390 0.390
0.360 0.640 0.360
0.552 0.818 0.079
0.552 0.079 0.552
0.552 0.552 0.818
0.552 0.818 0.552
0.110 0.390 0.110
0.360 0.640 0.640
0.079 0.552 0.552
0.932 0.671 0.198
0.379 0.874 0.874
0.640 0.640 0.360
0.552 0.079 0.818
0.198 0.671 0.198
0.552 0.552 0.079
0.932 0.198 0.671
0.198 0.198 0.671
0.671 0.932 0.198
0.390 0.110 0.390
0.874 0.874 0.874
0.390 0.110 0.110
0.874 0.379 0.874
0.750 0.750 0.750
0.198 0.198 0.932
0.079 0.552 0.818
0.875 0.375 0.375
0.375 0.375 0.375
0.375 0.875 0.375
0.375 0.375 0.875
```

Calculated values
energy of formation = -0.09 eV/atom

=====

# AlV

A relaxed structure of AlV (r²SCAN, the Materials Project database).

Structure (POSCAR):
```
AlV
1.0
-1.768 -1.383 1.383
-1.768 1.383 -1.383
0.000 -2.867 -2.867
V Al
1 1
direct
0.500 0.500 0.500
0.000 0.000 0.000
```

Calculated values
energy of formation = -0.29 eV/atom

=====

# Al10V

A relaxed structure of Al10V (r²SCAN, the Materials Project database).

Structure (POSCAR):
```
Al10V
1.0
8.772 0.000 5.065
2.924 8.271 5.065
0.000 0.000 10.129
Al V
40 4
direct
0.443 0.703 0.177
0.735 0.015 0.015
0.297 0.823 0.557
0.443 0.177 0.177
0.265 0.985 0.985
0.297 0.557 0.823
0.177 0.443 0.703
0.443 0.177 0.703
0.985 0.265 0.985
0.015 0.735 0.015
0.015 0.735 0.735
0.177 0.177 0.703
0.557 0.823 0.297
0.000 0.500 0.500
0.557 0.823 0.823
0.265 0.265 0.985
0.015 0.015 0.735
0.177 0.177 0.443
0.265 0.985 0.265
0.735 0.015 0.735
0.823 0.297 0.557
0.177 0.703 0.443
0.985 0.265 0.265
0.703 0.443 0.177
0.735 0.735 0.015
0.823 0.557 0.297
0.557 0.297 0.823
0.985 0.985 0.265
0.823 0.297 0.823
0.500 0.500 0.500
0.823 0.823 0.297
0.177 0.703 0.177
0.823 0.823 0.557
0.703 0.177 0.443
0.297 0.823 0.823
0.500 0.500 0.000
0.500 0.000 0.500
0.177 0.443 0.177
0.823 0.557 0.823
0.703 0.177 0.177
0.000 0.500 0.000
0.000 0.000 0.000
0.500 0.000 0.000
0.000 0.000 0.500
```

Calculated values
energy of formation = -0.10 eV/atom